# Na4Zn2In2SiS5O24 PBE optimized geometry
data_Na4Zn2In2SiS5O24
_chemical_formula_sum 'Na12 Zn6 In6 Si3 S15 O72'
_symmetry_space_group_name_H-M 'P 1'
_symmetry_Int_Tables_number 1
_cell_length_a 8.945
_cell_length_b 8.988
_cell_length_c 22.892
_cell_angle_alpha 90.51
_cell_angle_beta 90.37
_cell_angle_gamma 119.75
loop_
_symmetry_equiv_pos_as_xyz
'x,y,z'
loop_
_atom_site_label
_atom_site_type_symbol
_atom_site_fract_x
_atom_site_fract_y
_atom_site_fract_z
_atom_site_occupancy
Na1 Na 0.000 0.000 0.000 1
Na2 Na 0.004 0.000 0.487 1
Na3 Na 0.038 0.331 0.578 1
Na4 Na 0.319 0.653 0.160 1
Na5 Na 0.324 0.652 0.656 1
Na6 Na 0.347 0.989 0.234 1
Na7 Na 0.654 0.011 0.747 1
Na8 Na 0.666 0.314 0.825 1
Na9 Na 0.683 0.350 0.320 1
Na10 Na 0.696 0.676 0.917 1
Na11 Na 0.957 0.292 0.907 1
Na12 Na 0.970 0.673 0.396 1
Zn1 Zn 0.000 0.982 0.146 1
Zn2 Zn 0.011 0.015 0.643 1
Zn3 Zn 0.345 0.674 0.502 1
Zn4 Zn 0.658 0.298 0.977 1
Zn5 Zn 0.662 0.328 0.474 1
Zn6 Zn 0.997 0.992 0.328 1
In1 In 0.001 0.008 0.836 1
In2 In 0.332 0.660 0.308 1
In3 In 0.332 0.667 0.805 1
In4 In 0.346 0.681 0.008 1
In5 In 0.676 0.337 0.669 1
In6 In 0.689 0.350 0.174 1
Si1 Si 0.006 0.704 0.244 1
Si2 Si 0.007 0.308 0.736 1
Si3 Si 0.635 0.966 0.903 1
S1 S 0.035 0.669 0.907 1
S2 S 0.036 0.365 0.411 1
S3 S 0.294 0.292 0.239 1
S4 S 0.297 0.002 0.737 1
S5 S 0.340 0.370 0.908 1
S6 S 0.342 0.969 0.409 1
S7 S 0.370 0.041 0.076 1
S8 S 0.375 0.335 0.571 1
S9 S 0.633 0.666 0.409 1
S10 S 0.665 0.031 0.571 1
S11 S 0.671 0.629 0.070 1
S12 S 0.709 0.001 0.239 1
S13 S 0.710 0.702 0.738 1
S14 S 0.972 0.637 0.569 1
S15 S 0.977 0.333 0.070 1
O1 O 0.018 0.194 0.402 1
O2 O 0.024 0.220 0.676 1
O3 O 0.024 0.827 0.901 1
O4 O 0.046 0.830 0.189 1
O5 O 0.110 0.630 0.855 1
O6 O 0.119 0.480 0.360 1
O7 O 0.139 0.444 0.465 1
O8 O 0.139 0.691 0.961 1
O9 O 0.145 0.647 0.565 1
O10 O 0.153 0.493 0.068 1
O11 O 0.178 0.497 0.741 1
O12 O 0.183 0.983 0.405 1
O13 O 0.187 0.691 0.245 1
O14 O 0.190 0.193 0.902 1
O15 O 0.190 0.217 0.185 1
O16 O 0.191 0.979 0.685 1
O17 O 0.199 0.027 0.078 1
O18 O 0.201 0.178 0.573 1
O19 O 0.214 0.194 0.292 1
O20 O 0.218 0.013 0.793 1
O21 O 0.297 0.446 0.959 1
O22 O 0.316 0.852 0.458 1
O23 O 0.329 0.854 0.739 1
O24 O 0.332 0.473 0.244 1
O25 O 0.349 0.488 0.568 1
O26 O 0.353 0.866 0.073 1
O27 O 0.365 0.473 0.855 1
O28 O 0.366 0.895 0.353 1
O29 O 0.457 0.138 0.023 1
O30 O 0.464 0.292 0.234 1
O31 O 0.465 0.320 0.520 1
O32 O 0.470 0.161 0.735 1
O33 O 0.474 0.124 0.130 1
O34 O 0.474 0.357 0.626 1
O35 O 0.497 0.140 0.416 1
O36 O 0.502 0.365 0.917 1
O37 O 0.509 0.643 0.070 1
O38 O 0.512 0.860 0.563 1
O39 O 0.530 0.643 0.354 1
O40 O 0.532 0.887 0.841 1
O41 O 0.537 0.841 0.244 1
O42 O 0.543 0.702 0.740 1
O43 O 0.545 0.680 0.461 1
O44 O 0.546 0.830 0.956 1
O45 O 0.639 0.101 0.628 1
O46 O 0.654 0.525 0.122 1
O47 O 0.658 0.512 0.411 1
O48 O 0.664 0.159 0.911 1
O49 O 0.670 0.146 0.235 1
O50 O 0.676 0.524 0.732 1
O51 O 0.682 0.544 0.015 1
O52 O 0.692 0.151 0.523 1
O53 O 0.793 0.989 0.186 1
O54 O 0.804 0.768 0.795 1
O55 O 0.805 0.822 0.406 1
O56 O 0.806 0.811 0.689 1
O57 O 0.813 0.033 0.293 1
O58 O 0.821 0.311 0.734 1
O59 O 0.824 0.803 0.074 1
O60 O 0.827 0.019 0.575 1
O61 O 0.830 0.983 0.903 1
O62 O 0.834 0.512 0.239 1
O63 O 0.858 0.521 0.913 1
O64 O 0.864 0.357 0.414 1
O65 O 0.867 0.556 0.516 1
O66 O 0.881 0.318 0.015 1
O67 O 0.892 0.524 0.621 1
O68 O 0.893 0.359 0.122 1
O69 O 0.971 0.195 0.797 1
O70 O 0.986 0.781 0.306 1
O71 O 0.990 0.808 0.578 1
O72 O 0.994 0.180 0.076 1
# Calculated volume   532.6 Å³/f.u.
# Density   3.20 Mg/m³


# ZnHgC4S4N4 PBE optimized geometry
data_ZnHgC4S4N4
_chemical_formula_sum 'Zn2 Hg2 C8 S8 N8'
_symmetry_space_group_name_H-M 'I -4'
_symmetry_Int_Tables_number 82
_cell_length_a 11.274
_cell_length_b 11.274
_cell_length_c 4.754
_cell_angle_alpha 90.00
_cell_angle_beta 90.00
_cell_angle_gamma 90.00
loop_
_symmetry_equiv_pos_as_xyz
'x,y,z'
'y,-x,-z'
'-x,-y,z'
'-y,x,-z'
'x+1/2,y+1/2,z+1/2'
'y+1/2,-x+1/2,-z+1/2'
'-x+1/2,-y+1/2,z+1/2'
'-y+1/2,x+1/2,-z+1/2'
loop_
_atom_site_label
_atom_site_type_symbol
_atom_site_fract_x
_atom_site_fract_y
_atom_site_fract_z
_atom_site_occupancy
Zn1 Zn 0.000 0.000 0.000 1
Hg1 Hg 0.000 0.500 0.250 1
C1 C 0.075 0.777 0.355 1
S1 S 0.117 0.661 0.536 1
N1 N 0.047 0.863 0.231 1
# Calculated volume   302.1 Å³/f.u.
# Density   2.74 Mg/m³


Formation enthalpy at 0 K? In order: -200; -12 kJ per mole of atoms.